(1)
DFT (PBE-GGA) results for an optimized crystal structure of Zn2AsHO5.

Lattice parameters (Å, degrees): 6.145 8.465 8.649 90.00 90.00 90.00
Sites, in units of the cell vectors:
Zn1 0.254 0.000 0.500
Zn2 0.754 0.500 0.000
Zn3 0.500 0.133 0.133
Zn4 0.246 0.500 0.000
Zn5 0.000 0.367 0.633
Zn6 0.500 0.867 0.867
Zn7 0.746 0.000 0.500
Zn8 0.000 0.633 0.367
As1 0.000 0.250 0.256
As2 0.500 0.250 0.756
As3 0.500 0.750 0.244
As4 0.000 0.750 0.744
O1 0.500 0.895 0.631
O2 0.000 0.394 0.396
O3 0.000 0.928 0.645
O4 0.500 0.572 0.145
O5 0.275 0.229 0.637
O6 0.000 0.072 0.355
O7 0.725 0.229 0.637
O8 0.500 0.894 0.104
O9 0.775 0.271 0.137
O10 0.275 0.771 0.363
O11 0.000 0.605 0.131
O12 0.500 0.428 0.855
O13 0.725 0.771 0.363
O14 0.000 0.606 0.604
O15 0.225 0.729 0.863
O16 0.225 0.271 0.137
O17 0.775 0.729 0.863
O18 0.500 0.106 0.896
O19 0.000 0.395 0.869
O20 0.500 0.105 0.369
H1 0.000 0.287 0.907
H2 0.500 0.787 0.593
H3 0.500 0.213 0.407
H4 0.000 0.713 0.093

Summary:
The formation energy is -1708 meV per atom. The calculation puts the total moment at 0.00 Bohr magnetons per cell.

***

(2)
DFT (PBE-GGA) results for an optimized crystal structure of HfAs.

Lattice parameters (Å, degrees): 3.801 3.801 12.805 90.00 90.00 120.00
Sites, in units of the cell vectors:
As1 0.333 0.667 0.750
As2 0.667 0.333 0.250
As3 0.000 0.000 0.000
As4 0.000 0.000 0.500
Hf1 0.667 0.333 0.617
Hf2 0.333 0.667 0.383
Hf3 0.667 0.333 0.883
Hf4 0.333 0.667 0.117

Summary:
The formation energy is -998 meV per atom.

***

(3)
DFT (PBE-GGA) results for an optimized crystal structure of Hf5As3.

Lattice parameters (Å, degrees): 3.620 12.405 27.686 90.00 90.00 90.00
Sites, in units of the cell vectors:
Hf1 0.250 0.084 0.968
Hf2 0.750 0.791 0.376
Hf3 0.250 0.620 0.227
Hf4 0.750 0.443 0.651
Hf5 0.250 0.943 0.849
Hf6 0.250 0.557 0.349
Hf7 0.250 0.416 0.468
Hf8 0.250 0.961 0.323
Hf9 0.750 0.709 0.876
Hf10 0.750 0.840 0.239
Hf11 0.250 0.697 0.455
Hf12 0.250 0.389 0.999
Hf13 0.250 0.927 0.601
Hf14 0.750 0.197 0.045
Hf15 0.750 0.916 0.032
Hf16 0.750 0.349 0.362
Hf17 0.750 0.303 0.545
Hf18 0.750 0.057 0.151
Hf19 0.250 0.160 0.761
Hf20 0.750 0.120 0.273
Hf21 0.250 0.573 0.101
Hf22 0.250 0.539 0.823
Hf23 0.250 0.340 0.261
Hf24 0.750 0.151 0.862
Hf25 0.750 0.039 0.677
Hf26 0.750 0.461 0.177
Hf27 0.250 0.651 0.638
Hf28 0.250 0.291 0.124
Hf29 0.750 0.380 0.773
Hf30 0.750 0.660 0.739
Hf31 0.750 0.427 0.899
Hf32 0.750 0.073 0.399
Hf33 0.250 0.209 0.624
Hf34 0.250 0.111 0.499
Hf35 0.250 0.880 0.727
Hf36 0.750 0.611 0.001
Hf37 0.750 0.584 0.532
Hf38 0.250 0.849 0.138
Hf39 0.750 0.889 0.501
Hf40 0.250 0.803 0.955
As1 0.750 0.689 0.160
As2 0.250 0.751 0.803
As3 0.250 0.450 0.577
As4 0.250 0.750 0.549
As5 0.750 0.811 0.660
As6 0.750 0.002 0.779
As7 0.250 0.749 0.303
As8 0.250 0.189 0.340
As9 0.750 0.550 0.423
As10 0.750 0.950 0.923
As11 0.250 0.050 0.077
As12 0.750 0.249 0.197
As13 0.750 0.420 0.073
As14 0.250 0.998 0.221
As15 0.750 0.250 0.951
As16 0.250 0.502 0.721
As17 0.750 0.251 0.697
As18 0.250 0.580 0.927
As19 0.750 0.498 0.279
As20 0.250 0.920 0.427
As21 0.750 0.250 0.451
As22 0.750 0.080 0.573
As23 0.250 0.311 0.840
As24 0.250 0.750 0.049

Summary:
The formation energy is -869 meV per atom. The calculation puts the total moment at 0.00 Bohr magnetons per cell.

***

(4)
DFT (PBE-GGA) results for an optimized crystal structure of HfAs2.

Lattice parameters (Å, degrees): 3.709 6.830 9.030 90.00 90.00 90.00
Sites, in units of the cell vectors:
As1 0.750 0.620 0.957
As2 0.750 0.580 0.353
As3 0.750 0.120 0.543
As4 0.750 0.080 0.147
As5 0.250 0.920 0.853
As6 0.250 0.420 0.647
As7 0.250 0.380 0.043
As8 0.250 0.880 0.457
Hf1 0.250 0.772 0.162
Hf2 0.750 0.228 0.838
Hf3 0.250 0.272 0.338
Hf4 0.750 0.728 0.662

Summary:
The formation energy is -753 meV per atom.

***

(5)
DFT (PBE-GGA) results for an optimized crystal structure of Hf2As.

Lattice parameters (Å, degrees): 3.665 12.560 15.516 90.00 90.00 90.00
Sites, in units of the cell vectors:
Hf1 0.500 0.382 0.080
Hf2 0.500 0.971 0.107
Hf3 0.500 0.308 0.293
Hf4 0.000 0.417 0.924
Hf5 0.500 0.407 0.755
Hf6 0.000 0.529 0.607
Hf7 0.000 0.093 0.255
Hf8 0.500 0.917 0.576
Hf9 0.500 0.029 0.893
Hf10 0.000 0.583 0.076
Hf11 0.000 0.192 0.793
Hf12 0.000 0.882 0.420
Hf13 0.500 0.593 0.245
Hf14 0.000 0.151 0.022
Hf15 0.500 0.618 0.920
Hf16 0.500 0.083 0.424
Hf17 0.000 0.471 0.393
Hf18 0.500 0.692 0.707
Hf19 0.000 0.118 0.580
Hf20 0.000 0.907 0.745
Hf21 0.500 0.349 0.522
Hf22 0.000 0.808 0.207
Hf23 0.000 0.849 0.978
Hf24 0.500 0.651 0.478
As1 0.500 0.186 0.150
As2 0.000 0.756 0.587
As3 0.500 0.744 0.087
As4 0.000 0.314 0.650
As5 0.000 0.686 0.350
As6 0.000 0.435 0.210
As7 0.500 0.935 0.290
As8 0.500 0.814 0.850
As9 0.000 0.565 0.790
As10 0.500 0.065 0.710
As11 0.500 0.256 0.913
As12 0.000 0.244 0.413

Summary:
The formation energy is -804 meV per atom. The calculation puts the total moment at 0.00 Bohr magnetons per cell.

***

(6)
DFT (PBE-GGA) results for an optimized crystal structure of Hf15Mo11As2.

Lattice parameters (Å, degrees): 8.395 8.398 8.901 90.00 90.00 59.99
Sites, in units of the cell vectors:
Mo1 0.464 0.072 0.250
Mo2 0.000 0.000 0.007
Mo3 0.770 0.115 0.250
Mo4 0.464 0.464 0.250
Mo5 0.891 0.891 0.750
Mo6 0.891 0.219 0.750
Mo7 0.073 0.463 0.250
Mo8 0.000 0.000 0.493
Mo9 0.115 0.771 0.250
Mo10 0.115 0.115 0.250
Mo11 0.218 0.891 0.750
Hf1 0.202 0.595 0.964
Hf2 0.801 0.801 0.452
Hf3 0.931 0.534 0.750
Hf4 0.534 0.534 0.750
Hf5 0.801 0.397 0.048
Hf6 0.534 0.931 0.750
Hf7 0.202 0.595 0.536
Hf8 0.202 0.203 0.536
Hf9 0.801 0.397 0.452
Hf10 0.801 0.801 0.048
Hf11 0.595 0.203 0.535
Hf12 0.202 0.203 0.964
Hf13 0.595 0.203 0.965
Hf14 0.397 0.801 0.048
Hf15 0.397 0.801 0.452
As1 0.333 0.333 0.750
As2 0.666 0.667 0.250

Summary:
The formation energy is -121 meV per atom. The calculation puts the total moment at 0.02 Bohr magnetons per cell.

***

(7)
DFT (PBE-GGA) results for an optimized crystal structure of HfNi4As2.

Lattice parameters (Å, degrees): 7.031 7.031 3.763 90.00 90.00 90.00
Sites, in units of the cell vectors:
As1 0.716 0.716 0.500
As2 0.784 0.216 0.000
As3 0.284 0.284 0.500
As4 0.216 0.784 0.000
Ni1 0.409 0.844 0.500
Ni2 0.656 0.909 0.000
Ni3 0.844 0.409 0.500
Ni4 0.591 0.156 0.500
Ni5 0.156 0.591 0.500
Ni6 0.344 0.091 0.000
Ni7 0.909 0.656 0.000
Ni8 0.091 0.344 0.000
Hf1 0.000 0.000 0.500
Hf2 0.500 0.500 0.000

Summary:
The formation energy is -495 meV per atom.

***

(8)
DFT (PBE-GGA) results for an optimized crystal structure of Hf2Ni3As3.

Lattice parameters (Å, degrees): 3.750 10.405 12.724 90.00 90.00 90.00
Sites, in units of the cell vectors:
Ni1 0.750 0.862 0.283
Ni2 0.250 0.725 0.666
Ni3 0.750 0.638 0.783
Ni4 0.250 0.597 0.485
Ni5 0.250 0.903 0.985
Ni6 0.750 0.225 0.834
Ni7 0.750 0.403 0.515
Ni8 0.750 0.275 0.334
Ni9 0.250 0.138 0.717
Ni10 0.250 0.775 0.166
Ni11 0.750 0.097 0.015
Ni12 0.250 0.362 0.217
As1 0.250 0.102 0.898
As2 0.750 0.239 0.643
As3 0.750 0.261 0.143
As4 0.750 0.898 0.102
As5 0.750 0.446 0.875
As6 0.250 0.739 0.857
As7 0.250 0.398 0.398
As8 0.250 0.554 0.125
As9 0.750 0.602 0.602
As10 0.250 0.761 0.357
As11 0.250 0.946 0.625
As12 0.750 0.054 0.375
Hf1 0.250 0.427 0.710
Hf2 0.250 0.073 0.210
Hf3 0.750 0.573 0.290
Hf4 0.750 0.927 0.790
Hf5 0.750 0.667 0.005
Hf6 0.250 0.333 0.995
Hf7 0.250 0.167 0.495
Hf8 0.750 0.833 0.505

Summary:
The formation energy is -705 meV per atom.

***

(9)
DFT (PBE-GGA) results for an optimized crystal structure of HfAsOs.

Lattice parameters (Å, degrees): 6.592 6.592 3.982 90.00 90.00 120.00
Sites, in units of the cell vectors:
Os1 0.000 0.247 0.000
Os2 0.247 0.000 0.000
Os3 0.753 0.753 0.000
As1 0.333 0.667 0.000
As2 0.667 0.333 0.000
As3 0.000 0.000 0.500
Hf1 0.420 0.420 0.500
Hf2 0.000 0.580 0.500
Hf3 0.580 0.000 0.500

Summary:
The formation energy is -559 meV per atom. The calculation puts the total moment at 0.00 Bohr magnetons per cell.

***

(10)
DFT (PBE-GGA) results for an optimized crystal structure of Hf9AsW4.

Lattice parameters (Å, degrees): 8.703 8.703 8.710 90.00 90.00 120.00
Sites, in units of the cell vectors:
Hf1 0.390 0.195 0.546
Hf2 0.920 0.460 0.250
Hf3 0.080 0.540 0.750
Hf4 0.805 0.195 0.546
Hf5 0.195 0.805 0.046
Hf6 0.460 0.540 0.750
Hf7 0.805 0.610 0.546
Hf8 0.610 0.805 0.454
Hf9 0.805 0.610 0.954
Hf10 0.195 0.390 0.454
Hf11 0.460 0.920 0.750
Hf12 0.540 0.460 0.250
Hf13 0.390 0.195 0.954
Hf14 0.805 0.195 0.954
Hf15 0.610 0.805 0.046
Hf16 0.195 0.390 0.046
Hf17 0.195 0.805 0.454
Hf18 0.540 0.080 0.250
As1 0.667 0.333 0.750
As2 0.333 0.667 0.250
W1 0.220 0.110 0.250
W2 0.110 0.890 0.750
W3 0.000 0.000 0.500
W4 0.000 0.000 0.000
W5 0.110 0.220 0.750
W6 0.890 0.110 0.250
W7 0.780 0.890 0.750
W8 0.890 0.780 0.250

Summary:
The formation energy is -257 meV per atom. The calculation puts the total moment at 0.00 Bohr magnetons per cell.

***

(11)
DFT (PBE-GGA) results for an optimized crystal structure of Hg4As2I3.

Lattice parameters (Å, degrees): 13.396 13.396 13.396 90.00 90.00 90.00
Sites, in units of the cell vectors:
I1 0.259 0.186 0.442
I2 0.186 0.058 0.759
I3 0.558 0.759 0.314
I4 0.814 0.942 0.241
I5 0.241 0.686 0.442
I6 0.814 0.558 0.741
I7 0.741 0.686 0.058
I8 0.686 0.442 0.241
I9 0.314 0.942 0.259
I10 0.186 0.442 0.259
I11 0.259 0.314 0.942
I12 0.759 0.186 0.058
I13 0.942 0.259 0.314
I14 0.241 0.814 0.942
I15 0.942 0.241 0.814
I16 0.058 0.759 0.186
I17 0.558 0.741 0.814
I18 0.686 0.058 0.741
I19 0.759 0.314 0.558
I20 0.058 0.741 0.686
I21 0.314 0.558 0.759
I22 0.442 0.259 0.186
I23 0.442 0.241 0.686
I24 0.741 0.814 0.558
Hg1 0.225 0.225 0.225
Hg2 0.513 0.263 0.461
Hg3 0.275 0.775 0.725
Hg4 0.013 0.237 0.539
Hg5 0.039 0.487 0.763
Hg6 0.461 0.987 0.763
Hg7 0.775 0.775 0.775
Hg8 0.275 0.725 0.225
Hg9 0.513 0.237 0.961
Hg10 0.461 0.513 0.263
Hg11 0.961 0.987 0.737
Hg12 0.013 0.263 0.039
Hg13 0.737 0.961 0.987
Hg14 0.225 0.275 0.725
Hg15 0.487 0.763 0.039
Hg16 0.987 0.737 0.961
Hg17 0.987 0.763 0.461
Hg18 0.237 0.539 0.013
Hg19 0.737 0.539 0.487
Hg20 0.539 0.013 0.237
Hg21 0.263 0.039 0.013
Hg22 0.539 0.487 0.737
Hg23 0.763 0.461 0.987
Hg24 0.725 0.225 0.275
Hg25 0.725 0.275 0.775
Hg26 0.775 0.725 0.275
Hg27 0.263 0.461 0.513
Hg28 0.487 0.737 0.539
Hg29 0.237 0.961 0.513
Hg30 0.763 0.039 0.487
Hg31 0.961 0.513 0.237
Hg32 0.039 0.013 0.263
As1 0.113 0.387 0.613
As2 0.613 0.387 0.887
As3 0.947 0.447 0.053
As4 0.887 0.887 0.887
As5 0.887 0.613 0.387
As6 0.553 0.553 0.553
As7 0.947 0.053 0.553
As8 0.387 0.887 0.613
As9 0.613 0.113 0.387
As10 0.387 0.613 0.113
As11 0.553 0.947 0.053
As12 0.113 0.113 0.113
As13 0.053 0.947 0.447
As14 0.053 0.553 0.947
As15 0.447 0.053 0.947
As16 0.447 0.447 0.447

Summary:
The formation energy is -292 meV per atom. The calculation puts the total moment at 0.00 Bohr magnetons per cell.

***

Number 1: calculated density 4.23 g/cm3, E_tot -189.01 eV for the cell shown. Number 2: calculated density 10.51 g/cm3, E_tot -66.45 eV for the cell shown. Number 3: calculated density 11.94 g/cm3, E_tot -565.74 eV for the cell shown. Number 4: calculated density 9.53 g/cm3, E_tot -86.14 eV for the cell shown. Number 5: calculated density 12.05 g/cm3, E_tot -323.82 eV for the cell shown. Number 6: calculated density 11.86 g/cm3, E_tot -281.38 eV for the cell shown. Number 7: calculated density 10.05 g/cm3, E_tot -91.73 eV for the cell shown. Number 8: calculated density 10.14 g/cm3, E_tot -227.48 eV for the cell shown. Number 9: calculated density 14.75 g/cm3, E_tot -82.56 eV for the cell shown. Number 10: calculated density 14.05 g/cm3, E_tot -299.41 eV for the cell shown. Number 11: calculated density 7.37 g/cm3, E_tot -132.78 eV for the cell shown.